No. 1
This record from the Materials Project database describes a relaxed structure of Sm3Co4Sn13. The functional is r²SCAN.

Geometry as POSCAR:
```
Sm3Co4Sn13
1.0
9.543 0.000 0.000
0.000 9.543 0.000
0.000 0.000 9.543
Sm Co Sn
6 8 26
Direct
0.000 0.500 0.750
0.500 0.250 0.000
0.750 0.000 0.500
0.000 0.500 0.250
0.500 0.750 0.000
0.250 0.000 0.500
0.750 0.250 0.750
0.250 0.750 0.250
0.750 0.750 0.250
0.250 0.250 0.750
0.250 0.750 0.750
0.750 0.250 0.250
0.250 0.250 0.250
0.750 0.750 0.750
0.500 0.500 0.500
0.000 0.000 0.000
0.803 0.342 0.500
0.658 0.500 0.803
0.500 0.197 0.658
0.197 0.658 0.500
0.342 0.500 0.197
0.500 0.803 0.342
0.803 0.658 0.500
0.658 0.500 0.197
0.197 0.342 0.500
0.342 0.500 0.803
0.500 0.803 0.658
0.500 0.197 0.342
0.303 0.000 0.842
0.158 0.303 0.000
0.000 0.158 0.697
0.697 0.000 0.158
0.842 0.697 0.000
0.000 0.842 0.303
0.303 0.000 0.158
0.158 0.697 0.000
0.697 0.000 0.842
0.842 0.303 0.000
0.000 0.158 0.303
0.000 0.842 0.697
```

Results
size of the total moment: 0.000 μB/atom
ΔE_f: -0.29 eV per atom

=====

No. 2
This record from the Materials Project database describes a relaxed structure of YSi3Ni5. The functional is r²SCAN.

Geometry as POSCAR:
```
YSi3Ni5
1.0
3.763 0.000 0.000
0.000 6.582 0.000
0.000 0.000 18.580
Y Si Ni
4 12 20
Direct
0.250 0.623 0.644
0.750 0.377 0.356
0.750 0.123 0.856
0.250 0.877 0.144
0.250 0.843 0.926
0.750 0.157 0.074
0.750 0.343 0.574
0.250 0.657 0.426
0.750 0.622 0.763
0.250 0.378 0.237
0.250 0.421 0.914
0.750 0.579 0.086
0.750 0.921 0.586
0.250 0.079 0.414
0.250 0.122 0.737
0.750 0.878 0.263
0.250 0.134 0.995
0.750 0.385 0.985
0.750 0.115 0.485
0.250 0.615 0.015
0.250 0.356 0.115
0.750 0.644 0.885
0.750 0.856 0.385
0.250 0.144 0.615
0.250 0.069 0.294
0.750 0.931 0.706
0.750 0.569 0.206
0.250 0.431 0.794
0.750 0.634 0.505
0.250 0.366 0.495
0.250 0.815 0.801
0.750 0.185 0.199
0.750 0.315 0.699
0.250 0.685 0.301
0.250 0.885 0.515
0.750 0.866 0.005
```

Results
size of the total moment: 0.000 μB/atom
ΔE_f: -0.71 eV per atom

=====

No. 3
This record from the Materials Project database describes a relaxed structure of HoGe2Ir. The functional is r²SCAN.

Geometry as POSCAR:
```
HoGe2Ir
1.0
-5.361 -3.326 6.955
-3.426 6.233 6.131
0.680 -3.992 -8.472
Ho Ge Ir
4 8 4
Direct
0.706 0.206 0.500
0.260 0.000 0.260
0.294 0.794 0.500
0.740 0.000 0.740
0.048 0.201 0.847
0.952 0.799 0.153
0.646 0.799 0.847
0.354 0.201 0.153
0.577 0.577 0.000
0.923 0.423 0.500
0.077 0.577 0.500
0.423 0.423 0.000
0.606 0.355 0.251
0.394 0.645 0.749
0.896 0.645 0.251
0.104 0.355 0.749
```

Results
size of the total moment: 0.000 μB/atom
ΔE_f: -0.88 eV per atom

=====

No. 4
This record from the Materials Project database describes a relaxed structure of NdLu3. The functional is r²SCAN.

Geometry as POSCAR:
```
NdLu3
1.0
-3.422 6.262 -0.198
-3.240 -5.754 2.713
2.039 1.276 5.141
Nd Lu
2 6
Direct
0.667 0.333 0.250
0.333 0.667 0.750
0.164 0.836 0.250
0.836 0.671 0.750
0.329 0.164 0.750
0.671 0.836 0.250
0.164 0.329 0.250
0.836 0.164 0.750
```

Results
size of the total moment: 0.524 μB/atom
ΔE_f: 0.00 eV per atom

=====

No. 5
This record from the Materials Project database describes a relaxed structure of YTh. The functional is r²SCAN.

Geometry as POSCAR:
```
YTh
1.0
5.854 -1.798 -0.021
5.854 1.798 -0.021
5.313 0.000 3.045
Y Th
1 1
Direct
0.500 0.500 0.500
0.000 0.000 0.000
```

Results
size of the total moment: 0.000 μB/atom
ΔE_f: 0.06 eV per atom

=====

No. 6
This record from the Materials Project database describes a relaxed structure of BaCu6As2. The functional is r²SCAN.

Geometry as POSCAR:
```
BaCu6As2
1.0
-0.861 -2.624 3.117
-1.419 -2.793 -2.744
8.042 -3.431 -0.666
Ba Cu As
1 6 2
Direct
0.000 0.000 0.000
0.000 0.500 0.341
0.500 0.000 0.341
0.000 0.500 0.659
0.500 0.000 0.659
0.500 0.500 0.500
0.000 0.000 0.500
0.500 0.500 0.202
0.500 0.500 0.798
```

Results
size of the total moment: 0.000 μB/atom
ΔE_f: -0.31 eV per atom

=====

No. 7
This record from the Materials Project database describes a relaxed structure of EuAlGe2O7. The functional is r²SCAN.

Geometry as POSCAR:
```
EuAlGe2O7
1.0
6.523 0.000 0.000
0.000 7.211 0.028
0.000 5.845 11.255
Eu Al Ge O
4 4 8 28
Direct
0.353 0.739 0.527
0.647 0.261 0.473
0.853 0.261 0.973
0.147 0.739 0.027
0.398 0.711 0.271
0.602 0.289 0.729
0.898 0.289 0.229
0.102 0.711 0.771
0.658 0.710 0.049
0.342 0.290 0.951
0.158 0.290 0.451
0.842 0.710 0.549
0.909 0.803 0.279
0.091 0.197 0.721
0.409 0.197 0.221
0.591 0.803 0.779
0.379 0.925 0.305
0.621 0.075 0.695
0.879 0.075 0.195
0.121 0.925 0.805
0.828 0.907 0.026
0.172 0.093 0.974
0.328 0.093 0.474
0.672 0.907 0.526
0.617 0.278 0.277
0.383 0.722 0.723
0.117 0.722 0.223
0.883 0.278 0.777
0.997 0.751 0.425
0.003 0.249 0.575
0.497 0.249 0.075
0.503 0.751 0.925
0.447 0.707 0.134
0.553 0.293 0.866
0.947 0.293 0.366
0.053 0.707 0.634
0.839 0.506 0.084
0.161 0.494 0.916
0.339 0.494 0.416
0.661 0.506 0.584
0.681 0.659 0.312
0.319 0.341 0.688
0.181 0.341 0.188
0.819 0.659 0.812
```

Results
size of the total moment: 0.546 μB/atom
ΔE_f: -2.49 eV per atom

=====

No. 8
This record from the Materials Project database describes a relaxed structure of Dy3Co8Sn4. The functional is r²SCAN.

Geometry as POSCAR:
```
Dy3Co8Sn4
1.0
-0.001 -0.020 -7.365
-4.473 -7.745 -0.021
-4.473 7.746 0.020
Dy Co Sn
6 16 8
Direct
0.786 0.472 0.942
0.785 0.472 0.528
0.285 0.529 0.057
0.786 0.058 0.529
0.287 0.529 0.471
0.285 0.943 0.471
0.564 0.666 0.334
0.064 0.333 0.667
0.755 0.098 0.197
0.756 0.097 0.903
0.255 0.903 0.805
0.755 0.803 0.902
0.255 0.901 0.099
0.255 0.195 0.097
0.961 0.841 0.681
0.959 0.842 0.158
0.461 0.159 0.317
0.961 0.319 0.159
0.460 0.159 0.841
0.461 0.683 0.841
0.002 0.997 0.003
0.502 0.997 0.002
0.950 0.667 0.333
0.450 0.334 0.666
0.582 0.829 0.655
0.581 0.826 0.174
0.082 0.175 0.346
0.582 0.345 0.171
0.081 0.172 0.828
0.082 0.654 0.825
```

Results
size of the total moment: 0.692 μB/atom
ΔE_f: -0.28 eV per atom

=====

No. 9
This record from the Materials Project database describes a relaxed structure of MgMnTe2. The functional is r²SCAN.

Geometry as POSCAR:
```
MgMnTe2
1.0
-2.656 1.498 -3.367
-3.681 -0.891 2.508
0.234 5.891 2.437
Mg Mn Te
1 1 2
Direct
0.000 0.000 0.000
0.500 0.500 0.500
0.000 0.500 0.256
0.500 0.000 0.744
```

Results
size of the total moment: 1.250 μB/atom
ΔE_f: -0.84 eV per atom

=====

No. 10
This record from the Materials Project database describes a relaxed structure of CsBrF. The functional is r²SCAN.

Geometry as POSCAR:
```
CsBrF
1.0
4.221 0.000 -0.866
-0.178 4.218 -0.866
-0.060 -0.063 10.427
Cs Br F
2 2 2
Direct
0.669 0.669 0.339
0.331 0.331 0.661
0.060 0.060 0.120
0.940 0.940 0.880
0.816 0.816 0.632
0.184 0.184 0.368
```

Results
size of the total moment: 0.000 μB/atom
ΔE_f: -1.95 eV per atom

=====

No. 11
This record from the Materials Project database describes a relaxed structure of VI3. The functional is r²SCAN.

Geometry as POSCAR:
```
VI3
1.0
5.136 -9.076 -0.001
5.653 9.377 0.002
0.000 0.000 3.691
V I
2 6
Direct
0.331 0.665 0.750
0.669 0.335 0.250
0.223 0.445 0.250
0.564 0.784 0.250
0.222 0.785 0.250
0.777 0.555 0.750
0.436 0.216 0.750
0.778 0.215 0.750
```

Results
size of the total moment: 0.500 μB/atom
ΔE_f: -0.58 eV per atom

=====

No. 12
This record from the Materials Project database describes a relaxed structure of Sc3Si3Ni2. The functional is r²SCAN.

Geometry as POSCAR:
```
Sc3Si3Ni2
1.0
3.966 0.000 0.000
-1.983 4.822 0.000
0.000 0.000 13.092
Sc Si Ni
6 6 4
Direct
0.084 0.168 0.889
0.916 0.832 0.111
0.916 0.832 0.389
0.362 0.724 0.750
0.084 0.168 0.611
0.638 0.276 0.250
0.339 0.678 0.250
0.661 0.322 0.750
0.383 0.766 0.539
0.617 0.234 0.461
0.617 0.234 0.039
0.383 0.766 0.961
0.208 0.416 0.404
0.792 0.584 0.596
0.208 0.416 0.096
0.792 0.584 0.904
```

Results
size of the total moment: 0.000 μB/atom
ΔE_f: -0.89 eV per atom